! VP2O7 | Materials Project | r2SCAN | optimized geometry; values from VASP
&SYSTEM
  ibrav = 0, nat = 40, ntyp = 3
/
ATOMIC_SPECIES
V 50.94 V.upf
P 30.97 P.upf
O 16.00 O.upf
CELL_PARAMETERS angstrom
7.963 0.000 0.000
0.000 7.154 -0.001
0.000 3.251 8.766
ATOMIC_POSITIONS crystal
V 0.991 0.776 0.754
V 0.509 0.776 0.254
V 0.491 0.224 0.746
V 0.009 0.224 0.246
P 0.296 0.825 0.953
P 0.204 0.825 0.453
P 0.240 0.428 0.944
P 0.740 0.572 0.556
P 0.260 0.428 0.444
P 0.760 0.572 0.056
P 0.796 0.175 0.547
P 0.704 0.175 0.047
O 0.417 0.966 0.838
O 0.115 0.859 0.900
O 0.083 0.966 0.338
O 0.808 0.697 0.895
O 0.182 0.833 0.611
O 0.348 0.611 0.953
O 0.385 0.859 0.400
O 0.859 0.686 0.619
O 0.088 0.515 0.845
O 0.692 0.697 0.395
O 0.318 0.833 0.111
O 0.152 0.611 0.453
O 0.588 0.485 0.655
O 0.641 0.686 0.119
O 0.359 0.314 0.881
O 0.412 0.515 0.345
O 0.848 0.389 0.547
O 0.682 0.167 0.889
O 0.308 0.303 0.605
O 0.912 0.485 0.155
O 0.141 0.314 0.381
O 0.615 0.141 0.600
O 0.652 0.389 0.047
O 0.818 0.167 0.389
O 0.192 0.303 0.105
O 0.917 0.034 0.662
O 0.885 0.141 0.100
O 0.583 0.034 0.162
! - Space-group type: P2_1/c
! - ΔE to the lowest computed polymorph: 4.0 meV/atom

---

! VP2O7 | Materials Project | r2SCAN | optimized geometry; values from VASP
&SYSTEM
  ibrav = 0, nat = 20, ntyp = 3
/
ATOMIC_SPECIES
V 50.94 V.upf
P 30.97 P.upf
O 16.00 O.upf
CELL_PARAMETERS angstrom
7.888 0.000 0.000
0.000 4.801 -0.001
0.000 1.906 6.623
ATOMIC_POSITIONS crystal
V 0.002 0.788 0.727
V 0.502 0.212 0.273
P 0.234 0.233 0.897
P 0.819 0.393 0.492
P 0.734 0.767 0.103
P 0.319 0.607 0.508
O 0.828 0.589 0.632
O 0.836 0.862 0.913
O 0.083 0.424 0.909
O 0.362 0.412 0.730
O 0.178 0.970 0.830
O 0.862 0.588 0.270
O 0.950 0.157 0.539
O 0.328 0.411 0.368
O 0.678 0.030 0.170
O 0.641 0.279 0.486
O 0.336 0.138 0.087
O 0.141 0.721 0.514
O 0.583 0.576 0.091
O 0.450 0.843 0.461
! - Space-group type: P2_1
! - ΔE to the lowest computed polymorph: 4.7 meV/atom

---

! VP2O7 | Materials Project | r2SCAN | optimized geometry; values from VASP
&SYSTEM
  ibrav = 0, nat = 40, ntyp = 3
/
ATOMIC_SPECIES
V 50.94 V.upf
P 30.97 P.upf
O 16.00 O.upf
CELL_PARAMETERS angstrom
5.129 0.000 0.000
0.000 8.463 0.094
0.000 5.988 11.774
ATOMIC_POSITIONS crystal
V 0.257 0.730 0.535
V 0.757 0.270 0.965
V 0.243 0.730 0.035
V 0.743 0.270 0.465
P 0.258 0.169 0.361
P 0.758 0.831 0.139
P 0.267 0.303 0.115
P 0.733 0.697 0.885
P 0.242 0.169 0.861
P 0.742 0.831 0.639
P 0.233 0.303 0.615
P 0.767 0.697 0.385
O 0.970 0.244 0.854
O 0.574 0.744 0.451
O 0.074 0.256 0.049
O 0.212 0.484 0.110
O 0.231 0.976 0.452
O 0.030 0.756 0.146
O 0.530 0.244 0.354
O 0.954 0.720 0.625
O 0.426 0.256 0.549
O 0.046 0.280 0.375
O 0.470 0.756 0.646
O 0.288 0.484 0.610
O 0.954 0.289 0.585
O 0.788 0.516 0.890
O 0.269 0.976 0.952
O 0.218 0.162 0.244
O 0.546 0.720 0.125
O 0.782 0.838 0.756
O 0.718 0.838 0.256
O 0.546 0.289 0.085
O 0.712 0.516 0.390
O 0.731 0.024 0.048
O 0.454 0.711 0.915
O 0.046 0.711 0.415
O 0.769 0.024 0.548
O 0.282 0.162 0.744
O 0.926 0.744 0.951
O 0.454 0.280 0.875
! - Space-group type: P2_1/c
! - ΔE to the lowest computed polymorph: 3.4 meV/atom

---

! V2P3O11 | Materials Project | r2SCAN | optimized geometry; values from VASP
&SYSTEM
  ibrav = 0, nat = 32, ntyp = 3
/
ATOMIC_SPECIES
V 50.94 V.upf
P 30.97 P.upf
O 16.00 O.upf
CELL_PARAMETERS angstrom
4.216 5.790 0.007
-4.216 5.790 0.007
0.000 3.589 8.051
ATOMIC_POSITIONS crystal
V 0.364 0.890 0.959
V 0.110 0.636 0.541
V 0.890 0.364 0.459
V 0.636 0.110 0.041
P 0.040 0.960 0.750
P 0.673 0.544 0.791
P 0.544 0.673 0.291
P 0.456 0.327 0.709
P 0.327 0.456 0.209
P 0.960 0.040 0.250
O 0.859 0.988 0.899
O 0.234 0.952 0.789
O 0.988 0.859 0.399
O 0.612 0.747 0.830
O 0.048 0.766 0.711
O 0.535 0.847 0.131
O 0.847 0.535 0.631
O 0.369 0.721 0.434
O 0.721 0.369 0.934
O 0.483 0.517 0.750
O 0.747 0.612 0.330
O 0.253 0.388 0.670
O 0.517 0.483 0.250
O 0.279 0.631 0.066
O 0.631 0.279 0.566
O 0.153 0.465 0.369
O 0.465 0.153 0.869
O 0.952 0.234 0.289
O 0.388 0.253 0.170
O 0.012 0.141 0.601
O 0.766 0.048 0.211
O 0.141 0.012 0.101
! - Space-group type: C2/c

---

! VP4O12 | Materials Project | r2SCAN | optimized geometry; values from VASP
&SYSTEM
  ibrav = 0, nat = 34, ntyp = 3
/
ATOMIC_SPECIES
V 50.94 V.upf
P 30.97 P.upf
O 16.00 O.upf
CELL_PARAMETERS angstrom
-7.823 -8.498 6.915
0.067 -3.262 -3.932
5.777 -3.963 1.666
ATOMIC_POSITIONS crystal
V 0.731 0.502 0.497
V 0.231 0.498 0.503
P 0.679 0.877 0.096
P 0.179 0.123 0.904
P 0.870 0.981 0.559
P 0.593 0.023 0.436
P 0.370 0.019 0.441
P 0.826 0.223 0.879
P 0.326 0.777 0.121
P 0.093 0.977 0.564
O 0.853 0.975 0.776
O 0.655 0.802 0.542
O 0.353 0.025 0.224
O 0.107 0.967 0.782
O 0.243 0.632 0.250
O 0.854 0.712 0.512
O 0.133 0.171 0.076
O 0.811 0.204 0.447
O 0.609 0.294 0.482
O 0.272 0.924 0.937
O 0.982 0.059 0.525
O 0.412 0.624 0.083
O 0.912 0.376 0.917
O 0.354 0.288 0.488
O 0.482 0.941 0.475
O 0.772 0.076 0.063
O 0.720 0.641 0.239
O 0.155 0.198 0.458
O 0.109 0.706 0.518
O 0.220 0.359 0.761
O 0.311 0.796 0.553
O 0.633 0.829 0.924
O 0.743 0.368 0.750
O 0.607 0.033 0.218
! - Space-group type: P2_1
! - ΔE to the lowest computed polymorph: 0.0 meV/atom

---

! V4P2O13 | Materials Project | r2SCAN | optimized geometry; values from VASP
&SYSTEM
  ibrav = 0, nat = 19, ntyp = 3
/
ATOMIC_SPECIES
V 50.94 V.upf
P 30.97 P.upf
O 16.00 O.upf
CELL_PARAMETERS angstrom
-4.770 -0.855 0.572
-0.003 4.864 0.534
0.325 1.152 -8.567
ATOMIC_POSITIONS crystal
V 0.747 0.044 0.315
V 0.929 0.826 0.642
V 0.434 0.537 0.060
V 0.585 0.258 0.707
P 0.987 0.991 0.999
P 0.246 0.567 0.413
O 0.007 0.733 0.435
O 0.797 0.850 0.115
O 0.937 0.508 0.724
O 0.712 0.075 0.532
O 0.593 0.283 0.210
O 0.802 0.980 0.830
O 0.411 0.720 0.290
O 0.454 0.558 0.569
O 0.528 0.433 0.898
O 0.263 0.038 0.688
O 0.079 0.293 0.043
O 0.118 0.276 0.359
O 0.229 0.839 0.991
! - Space-group type: P1

---

! VP2O7 | Materials Project | r2SCAN | optimized geometry; values from VASP
&SYSTEM
  ibrav = 0, nat = 20, ntyp = 3
/
ATOMIC_SPECIES
V 50.94 V.upf
P 30.97 P.upf
O 16.00 O.upf
CELL_PARAMETERS angstrom
5.089 0.038 0.029
0.172 6.594 0.014
0.283 2.766 7.460
ATOMIC_POSITIONS crystal
V 0.236 0.202 0.729
V 0.764 0.798 0.271
P 0.242 0.109 0.169
P 0.286 0.466 0.304
P 0.714 0.534 0.696
P 0.758 0.891 0.831
O 0.038 0.946 0.760
O 0.091 0.650 0.242
O 0.201 0.294 0.482
O 0.286 0.349 0.160
O 0.277 0.124 0.975
O 0.446 0.962 0.286
O 0.436 0.464 0.694
O 0.564 0.536 0.306
O 0.554 0.038 0.714
O 0.723 0.876 0.025
O 0.962 0.054 0.240
O 0.799 0.706 0.518
O 0.909 0.350 0.758
O 0.714 0.651 0.840
! - Space-group type: P-1
! - ΔE to the lowest computed polymorph: 0.0 meV/atom

---

! VP4O12 | Materials Project | r2SCAN | optimized geometry; values from VASP
&SYSTEM
  ibrav = 0, nat = 34, ntyp = 3
/
ATOMIC_SPECIES
V 50.94 V.upf
P 30.97 P.upf
O 16.00 O.upf
CELL_PARAMETERS angstrom
-1.810 -6.910 7.621
2.725 4.636 8.955
-4.623 1.636 1.554
ATOMIC_POSITIONS crystal
V 0.000 0.500 0.500
V 0.500 0.000 0.500
P 0.359 0.799 0.323
P 0.799 0.359 0.323
P 0.690 0.929 0.966
P 0.929 0.690 0.966
P 0.071 0.310 0.034
P 0.641 0.201 0.677
P 0.201 0.641 0.677
P 0.310 0.071 0.034
O 0.422 0.863 0.504
O 0.863 0.422 0.504
O 0.227 0.773 0.500
O 0.773 0.227 0.500
O 0.658 0.910 0.261
O 0.910 0.658 0.261
O 0.444 0.692 0.181
O 0.692 0.444 0.181
O 0.283 0.930 0.132
O 0.930 0.283 0.132
O 0.834 0.834 0.888
O 0.409 0.092 0.190
O 0.092 0.409 0.190
O 0.908 0.591 0.810
O 0.591 0.908 0.810
O 0.166 0.166 0.112
O 0.070 0.717 0.868
O 0.578 0.137 0.496
O 0.308 0.556 0.819
O 0.556 0.308 0.819
O 0.090 0.342 0.739
O 0.342 0.090 0.739
O 0.137 0.578 0.496
O 0.717 0.070 0.868
! - Space-group type: C2/m
! - ΔE to the lowest computed polymorph: 18.4 meV/atom

---

no.,calculated formation energy (kJ/mol of atoms)
1,-235.9
2,-235.9
3,-236.0
4,-240.5
5,-222.0
6,-244.5
7,-236.3
8,-220.3